#1
VASP calculation (GGA-PBE) on crystalline KMg6SiO8 at its relaxed geometry.

```
KMg6SiO8
1.0
4.552 0.000 0.000
0.000 4.552 0.000
0.000 0.000 8.383
K Mg Si O
1 6 1 8
direct
0.000 0.000 0.000
0.000 0.500 0.246
0.000 0.500 0.754
0.500 0.000 0.246
0.500 0.000 0.754
0.500 0.500 0.000
0.500 0.500 0.500
0.000 0.000 0.500
0.000 0.000 0.292
0.000 0.000 0.708
0.000 0.500 0.000
0.000 0.500 0.500
0.500 0.000 0.000
0.500 0.000 0.500
0.500 0.500 0.252
0.500 0.500 0.748
```

Computed properties:
Space group = No. 123

#2
VASP calculation (GGA-PBE) on crystalline KMg6SiO8 at its relaxed geometry.

```
KMg6SiO8
1.0
4.435 0.000 0.000
0.000 4.435 0.000
0.000 0.000 8.688
K Mg Si O
1 6 1 8
direct
0.000 0.000 0.000
0.000 0.000 0.500
0.000 0.500 0.253
0.000 0.500 0.747
0.500 0.000 0.253
0.500 0.000 0.747
0.500 0.500 0.500
0.500 0.500 0.000
0.000 0.000 0.276
0.000 0.000 0.724
0.000 0.500 0.000
0.000 0.500 0.500
0.500 0.000 0.000
0.500 0.000 0.500
0.500 0.500 0.235
0.500 0.500 0.765
```

Computed properties:
Space group = No. 123

Top of the stability list: #1, leading by 55 meV/atom.

#1
VASP calculation (GGA-PBE) on crystalline KMg30TiO32 at its relaxed geometry.

```
KMg30TiO32
1.0
8.607 0.000 0.000
0.000 8.607 0.000
0.000 0.000 8.579
K Mg Ti O
1 30 1 32
direct
0.000 0.000 0.000
0.000 0.256 0.248
0.000 0.256 0.752
0.000 0.500 0.000
0.000 0.500 0.500
0.000 0.744 0.248
0.000 0.744 0.752
0.250 0.500 0.249
0.250 0.500 0.751
0.251 0.251 0.500
0.251 0.749 0.500
0.252 0.252 0.000
0.252 0.748 0.000
0.256 0.000 0.248
0.256 0.000 0.752
0.500 0.000 0.000
0.500 0.000 0.500
0.500 0.250 0.249
0.500 0.250 0.751
0.500 0.500 0.000
0.500 0.500 0.500
0.500 0.750 0.249
0.500 0.750 0.751
0.744 0.000 0.248
0.744 0.000 0.752
0.748 0.252 0.000
0.748 0.748 0.000
0.749 0.251 0.500
0.749 0.749 0.500
0.750 0.500 0.249
0.750 0.500 0.751
0.000 0.000 0.500
0.000 0.000 0.276
0.000 0.000 0.724
0.000 0.252 0.500
0.000 0.273 0.000
0.000 0.500 0.255
0.000 0.500 0.745
0.000 0.727 0.000
0.000 0.748 0.500
0.249 0.249 0.250
0.249 0.249 0.750
0.249 0.751 0.250
0.249 0.751 0.750
0.250 0.500 0.500
0.252 0.000 0.500
0.254 0.500 0.000
0.273 0.000 0.000
0.500 0.000 0.255
0.500 0.000 0.745
0.500 0.250 0.500
0.500 0.254 0.000
0.500 0.500 0.252
0.500 0.500 0.748
0.500 0.746 0.000
0.500 0.750 0.500
0.727 0.000 0.000
0.746 0.500 0.000
0.748 0.000 0.500
0.750 0.500 0.500
0.751 0.249 0.250
0.751 0.249 0.750
0.751 0.751 0.250
0.751 0.751 0.750
```

Computed properties:
Space group = No. 123

#2
VASP calculation (GGA-PBE) on crystalline KMg30TiO32 at its relaxed geometry.

```
KMg30TiO32
1.0
8.593 0.000 0.000
0.000 8.593 0.000
0.000 0.000 8.606
K Mg Ti O
1 30 1 32
direct
0.000 0.000 0.000
0.000 0.000 0.500
0.000 0.250 0.252
0.000 0.250 0.748
0.000 0.500 0.000
0.000 0.500 0.500
0.000 0.750 0.252
0.000 0.750 0.748
0.247 0.500 0.253
0.247 0.500 0.747
0.248 0.248 0.000
0.248 0.752 0.000
0.249 0.249 0.500
0.249 0.751 0.500
0.250 0.000 0.252
0.250 0.000 0.748
0.500 0.000 0.000
0.500 0.000 0.500
0.500 0.247 0.253
0.500 0.247 0.747
0.500 0.500 0.500
0.500 0.753 0.253
0.500 0.753 0.747
0.750 0.000 0.252
0.750 0.000 0.748
0.751 0.249 0.500
0.751 0.751 0.500
0.752 0.248 0.000
0.752 0.752 0.000
0.753 0.500 0.253
0.753 0.500 0.747
0.500 0.500 0.000
0.000 0.000 0.274
0.000 0.000 0.726
0.000 0.255 0.500
0.000 0.275 0.000
0.000 0.500 0.253
0.000 0.500 0.747
0.000 0.725 0.000
0.000 0.745 0.500
0.251 0.251 0.249
0.251 0.251 0.751
0.251 0.749 0.249
0.251 0.749 0.751
0.252 0.500 0.500
0.255 0.000 0.500
0.260 0.500 0.000
0.275 0.000 0.000
0.500 0.000 0.253
0.500 0.000 0.747
0.500 0.252 0.500
0.500 0.260 0.000
0.500 0.500 0.248
0.500 0.500 0.752
0.500 0.740 0.000
0.500 0.748 0.500
0.725 0.000 0.000
0.740 0.500 0.000
0.745 0.000 0.500
0.748 0.500 0.500
0.749 0.251 0.249
0.749 0.251 0.751
0.749 0.749 0.249
0.749 0.749 0.751
```

Computed properties:
Space group = No. 123

Top of the stability list: #1, leading by 7 meV/atom.

#1
VASP calculation (GGA-PBE) on crystalline KMg14TiO16 at its relaxed geometry.

```
KMg14TiO16
1.0
4.401 0.000 0.000
0.000 8.608 0.000
0.000 0.000 8.655
K Mg Ti O
1 14 1 16
direct
0.000 0.000 0.000
0.000 0.000 0.500
0.000 0.247 0.257
0.000 0.247 0.743
0.000 0.500 0.500
0.000 0.753 0.257
0.000 0.753 0.743
0.500 0.000 0.252
0.500 0.000 0.748
0.500 0.245 0.000
0.500 0.248 0.500
0.500 0.500 0.252
0.500 0.500 0.748
0.500 0.752 0.500
0.500 0.755 0.000
0.000 0.500 0.000
0.000 0.000 0.275
0.000 0.000 0.725
0.000 0.257 0.500
0.000 0.278 0.000
0.000 0.500 0.251
0.000 0.500 0.749
0.000 0.722 0.000
0.000 0.743 0.500
0.500 0.000 0.000
0.500 0.000 0.500
0.500 0.251 0.248
0.500 0.251 0.752
0.500 0.500 0.000
0.500 0.500 0.500
0.500 0.749 0.248
0.500 0.749 0.752
```

Computed properties:
Space group = No. 47

#2
VASP calculation (GGA-PBE) on crystalline KMg14TiO16 at its relaxed geometry.

```
KMg14TiO16
1.0
8.646 0.000 0.000
0.000 8.646 0.000
0.000 0.000 4.375
K Mg Ti O
1 14 1 16
direct
0.000 0.000 0.000
0.000 0.249 0.500
0.000 0.500 0.000
0.000 0.751 0.500
0.245 0.500 0.500
0.246 0.246 0.000
0.246 0.754 0.000
0.249 0.000 0.500
0.500 0.000 0.000
0.500 0.245 0.500
0.500 0.755 0.500
0.751 0.000 0.500
0.754 0.246 0.000
0.754 0.754 0.000
0.755 0.500 0.500
0.500 0.500 0.000
0.000 0.000 0.500
0.000 0.276 0.000
0.000 0.500 0.500
0.000 0.724 0.000
0.252 0.252 0.500
0.252 0.748 0.500
0.261 0.500 0.000
0.276 0.000 0.000
0.500 0.000 0.500
0.500 0.261 0.000
0.500 0.500 0.500
0.500 0.739 0.000
0.724 0.000 0.000
0.739 0.500 0.000
0.748 0.252 0.500
0.748 0.748 0.500
```

Computed properties:
Space group = No. 123

Top of the stability list: #1, leading by 10 meV/atom.

#1
VASP calculation (GGA-PBE) on crystalline KYMg6O8 at its relaxed geometry.

```
KYMg6O8
1.0
4.535 0.000 0.000
0.000 4.535 0.000
0.000 0.000 9.110
K Y Mg O
1 1 6 8
direct
0.000 0.000 0.000
0.000 0.000 0.500
0.000 0.500 0.230
0.000 0.500 0.770
0.500 0.000 0.230
0.500 0.000 0.770
0.500 0.500 0.000
0.500 0.500 0.500
0.000 0.000 0.262
0.000 0.000 0.738
0.000 0.500 0.000
0.000 0.500 0.500
0.500 0.000 0.000
0.500 0.000 0.500
0.500 0.500 0.252
0.500 0.500 0.748
```

Computed properties:
Space group = No. 123

#2
VASP calculation (GGA-PBE) on crystalline KYMg6O8 at its relaxed geometry.

```
KYMg6O8
1.0
4.544 0.000 0.000
0.000 4.544 0.000
0.000 0.000 8.924
K Y Mg O
1 1 6 8
direct
0.000 0.000 0.000
0.500 0.500 0.000
0.000 0.000 0.500
0.000 0.500 0.267
0.000 0.500 0.733
0.500 0.000 0.267
0.500 0.000 0.733
0.500 0.500 0.500
0.000 0.000 0.278
0.000 0.000 0.722
0.000 0.500 0.000
0.000 0.500 0.500
0.500 0.000 0.000
0.500 0.000 0.500
0.500 0.500 0.261
0.500 0.500 0.739
```

Computed properties:
Space group = No. 123

Top of the stability list: #2, leading by 69 meV/atom.

#1
VASP calculation (GGA-PBE) on crystalline KRbMg14 at its relaxed geometry.

```
KRbMg14
1.0
11.106 0.000 0.000
0.000 3.249 5.946
0.000 -3.249 5.946
K Rb Mg
1 1 14
direct
0.000 0.000 0.000
0.000 0.501 0.501
0.000 0.000 0.500
0.000 0.500 0.000
0.259 0.174 0.174
0.263 0.675 0.675
0.281 0.162 0.664
0.281 0.664 0.162
0.500 0.000 0.499
0.500 0.006 0.006
0.500 0.499 0.000
0.500 0.506 0.506
0.719 0.162 0.664
0.719 0.664 0.162
0.737 0.675 0.675
0.741 0.174 0.174
```

Computed properties:
Space group = No. 38

#2
VASP calculation (GGA-PBE) on crystalline KRbMg14 at its relaxed geometry.

```
KRbMg14
1.0
6.899 0.000 0.000
-3.450 5.975 0.000
0.000 0.000 10.540
K Rb Mg
1 1 14
direct
0.000 0.000 0.000
0.000 0.000 0.500
0.006 0.503 0.000
0.007 0.503 0.500
0.180 0.360 0.247
0.180 0.360 0.753
0.180 0.820 0.247
0.180 0.820 0.753
0.497 0.503 0.000
0.497 0.503 0.500
0.497 0.993 0.500
0.497 0.994 0.000
0.640 0.820 0.247
0.640 0.820 0.753
0.667 0.333 0.250
0.667 0.333 0.750
```

Computed properties:
Space group = No. 187

Top of the stability list: #1, leading by 28 meV/atom.

#1
VASP calculation (GGA-PBE) on crystalline KMg14Si at its relaxed geometry.

```
KMg14Si
1.0
6.401 0.000 0.000
-3.201 5.544 0.000
0.000 0.000 10.743
K Mg Si
1 14 1
direct
0.000 0.000 0.000
0.008 0.504 0.000
0.167 0.334 0.266
0.167 0.334 0.734
0.167 0.833 0.266
0.167 0.833 0.734
0.496 0.504 0.000
0.496 0.992 0.000
0.502 0.005 0.500
0.502 0.498 0.500
0.666 0.833 0.266
0.666 0.833 0.734
0.667 0.333 0.243
0.667 0.333 0.757
0.995 0.498 0.500
0.000 0.000 0.500
```

Computed properties:
Space group = No. 187

#2
VASP calculation (GGA-PBE) on crystalline KMg14Si at its relaxed geometry.

```
KMg14Si
1.0
10.236 0.000 0.000
0.000 3.092 6.090
0.000 -3.092 6.090
K Mg Si
1 14 1
direct
0.000 0.000 0.000
0.000 0.006 0.492
0.000 0.492 0.006
0.226 0.634 0.634
0.253 0.152 0.633
0.253 0.633 0.152
0.265 0.154 0.154
0.500 0.487 0.487
0.500 0.490 0.980
0.500 0.980 0.490
0.500 0.981 0.981
0.735 0.154 0.154
0.747 0.152 0.633
0.747 0.633 0.152
0.774 0.634 0.634
0.000 0.444 0.444
```

Computed properties:
Space group = No. 38

Top of the stability list: #2, leading by 10 meV/atom.